Arrangement i

Mg5Hg: relaxed, r²SCAN.

Cell: 8.1223 8.1223 4.9682 Å, 90.00 90.00 156.79°
Closest atoms and distances in Å follow each position.
Fractional positions:
Mg (0.0000, 0.0000, 0.5000)  12 Mg 3.10-3.27
Hg (0.2217, 0.7783, 0.0000)  10 Mg 3.03-3.09, 2 Hg 3.27
Mg (0.6717, 0.3283, 0.5000)  8 Mg 3.06-3.27, 4 Hg 3.08
Mg (0.8820, 0.1180, 0.0000)  2 Hg 3.03, 10 Mg 3.07-3.27
Mg (0.3341, 0.6659, 0.5000)  10 Mg 3.06-3.27, 2 Hg 3.06
Mg (0.5572, 0.4428, 0.0000)  10 Mg 3.08-3.27, 2 Hg 3.09

Results
Total magnetization (μB/atom): 0.000
Theoretical density (kg/m³): 4142
Space group: Amm2, No. 38

Arrangement ii

Mg5Hg: relaxed, r²SCAN.

Cell: 5.3889 5.3889 5.0713 Å, 90.00 90.00 120.00°
Closest atoms and distances in Å follow each position.
Fractional positions:
Hg (0.0000, 0.0000, 0.0000)  12 Mg 3.09-3.11
Mg (0.3266, 0.0000, 0.5000)  10 Mg 3.05-3.14, 2 Hg 3.09
Mg (0.6734, 0.6734, 0.5000)  10 Mg 3.05-3.14, 2 Hg 3.09
Mg (0.0000, 0.3266, 0.5000)  10 Mg 3.05-3.14, 2 Hg 3.09
Mg (0.6667, 0.3333, 0.0000)  9 Mg 3.11-3.12, 3 Hg 3.11
Mg (0.3333, 0.6667, 0.0000)  9 Mg 3.11-3.12, 3 Hg 3.11

Results
Total magnetization (μB/atom): 0.000
Theoretical density (kg/m³): 4194
Space group: P-62m, No. 189

On energetic grounds, arrangement ii is preferred over the next structure by 0.011 eV/atom.